No. 1
A plane-wave DFT calculation with PBE was carried out for BaZrO3 after structural relaxation.

DFT formation energy   -18.19 eV per formula unit
Calculated density   5.98 g/cm³

abc: 6.0168 6.0168 6.0168
angles: 120.22 120.22 89.62
With the nearest neighbours (Å) after each atom.
Atoms (fractional coordinates):
Ba  0.2500  0.7500  0.5000  12 O 2.88-3.15
Ba  0.7500  0.2500  0.5000  12 O 2.88-3.15
Zr  0.0000  0.0000  0.0000  6 O 2.13
Zr  0.5000  0.5000  0.0000  6 O 2.13
O  0.2272  0.7272  0.9544  2 Zr 2.13
O  0.2500  0.2500  0.0000  2 Zr 2.13
O  0.2728  0.2272  0.5000  2 Zr 2.13
O  0.7272  0.7728  0.5000  2 Zr 2.13
O  0.7500  0.7500  0.0000  2 Zr 2.13
O  0.7728  0.2728  0.0456  2 Zr 2.13


No. 2
A plane-wave DFT calculation with PBE was carried out for BaMg6NbO8 after structural relaxation.

DFT formation energy   -39.05 eV per formula unit
Calculated density   4.27 g/cm³
Excess energy over the best structure of this formula in the dataset   0 meV per atom

abc: 4.6750 4.6750 8.9780
angles: 90.00 90.00 90.00
With the nearest neighbours (Å) after each atom.
Atoms (fractional coordinates):
Ba  0.0000  0.0000  0.0000  6 O 2.34-2.54
Mg  0.0000  0.0000  0.5000  2 O 1.94
Mg  0.0000  0.5000  0.2709  1 O 2.06
Mg  0.0000  0.5000  0.7291  1 O 2.06
Mg  0.5000  0.0000  0.2709  1 O 2.06
Mg  0.5000  0.0000  0.7291  1 O 2.06
Mg  0.5000  0.5000  0.5000  6 O 2.13-2.34
Nb  0.5000  0.5000  0.0000  6 O 2.34-2.36
O  0.0000  0.0000  0.2834  1 Mg 1.94
O  0.0000  0.0000  0.7166  1 Mg 1.94
O  0.0000  0.5000  0.0000  2 Ba 2.34, 2 Nb 2.34, 2 Mg 2.43
O  0.0000  0.5000  0.5000  2 Mg 2.06
O  0.5000  0.0000  0.0000  2 Ba 2.34, 2 Nb 2.34, 2 Mg 2.43
O  0.5000  0.0000  0.5000  2 Mg 2.06
O  0.5000  0.5000  0.2630  5 Mg 2.13-2.34, 1 Nb 2.36
O  0.5000  0.5000  0.7370  5 Mg 2.13-2.34, 1 Nb 2.36


No. 3
A plane-wave DFT calculation with PBE was carried out for SrLa7TiGa7O24 after structural relaxation.

DFT formation energy   -126.03 eV per formula unit
Calculated density   6.71 g/cm³
Excess energy over the best structure of this formula in the dataset   29 meV per atom

abc: 5.5770 5.5870 31.4275
angles: 90.00 90.01 90.00
With the nearest neighbours (Å) after each atom.
Atoms (fractional coordinates):
Sr  0.2353  0.0000  0.4358  6 O 2.50-2.71
Sr  0.7647  0.5000  0.5642  6 O 2.50-2.71
La  0.2228  0.9974  0.1874  6 O 2.41-2.62
La  0.2231  0.9974  0.9376  6 O 2.41-2.62
La  0.2257  0.0000  0.6875  6 O 2.41-2.65
La  0.2705  0.0117  0.5655  6 O 2.41-2.65
La  0.2758  0.0132  0.3127  6 O 2.41-2.63
La  0.2769  0.0124  0.0624  6 O 2.41-2.62
La  0.2774  0.0132  0.8126  6 O 2.41-2.62
La  0.7231  0.5124  0.9376  6 O 2.41-2.62
La  0.7226  0.5132  0.1874  6 O 2.41-2.62
La  0.7242  0.5132  0.6873  6 O 2.41-2.63
La  0.7295  0.5117  0.4345  6 O 2.41-2.65
La  0.7743  0.5000  0.3125  6 O 2.41-2.65
La  0.7769  0.4974  0.0624  6 O 2.41-2.62
La  0.7772  0.4974  0.8126  6 O 2.41-2.62
Ti  0.2484  0.5079  0.4995  6 O 1.95-2.03
Ti  0.7516  0.0079  0.5005  6 O 1.95-2.03
Ga  0.2471  0.5029  0.6253  6 O 2.00-2.05
Ga  0.2493  0.5050  0.2498  6 O 2.01-2.02
Ga  0.2500  0.5048  0.0000  6 O 2.01
Ga  0.2499  0.5049  0.1249  6 O 2.01-2.02
Ga  0.2501  0.5052  0.8751  6 O 2.01-2.02
Ga  0.2502  0.5063  0.7502  6 O 2.00-2.02
Ga  0.2508  0.5073  0.3745  6 O 1.99-2.04
Ga  0.7492  0.0073  0.6255  6 O 1.99-2.04
Ga  0.7500  0.0048  0.0000  6 O 2.01
Ga  0.7499  0.0052  0.1249  6 O 2.01-2.02
Ga  0.7501  0.0049  0.8751  6 O 2.01-2.02
Ga  0.7498  0.0063  0.2498  6 O 2.00-2.02
Ga  0.7507  0.0050  0.7502  6 O 2.01-2.02
Ga  0.7529  0.0029  0.3747  6 O 2.00-2.05
O  0.0214  0.2294  0.5088  2 Ti 1.97-2.03
O  0.0230  0.2330  0.3650  2 Ga 2.00-2.01
O  0.0270  0.2258  0.6159  2 Ga 2.00
O  0.0275  0.2280  0.1143  2 Ga 2.01
O  0.0277  0.2277  0.0106  2 Ga 2.01
O  0.0284  0.2275  0.7608  2 Ga 2.01-2.02
O  0.0279  0.2280  0.8645  2 Ga 2.01-2.02
O  0.0288  0.2273  0.2605  2 Ga 2.01
O  0.2363  0.5833  0.0624  2 Ga 2.01
O  0.2365  0.5839  0.8126  2 Ga 2.01
O  0.2370  0.5827  0.3121  2 Ga 2.01
O  0.2450  0.5739  0.5613  1 Ti 1.98, 1 Ga 2.05
O  0.2595  0.4459  0.4386  1 Ti 1.95, 1 Ga 2.04
O  0.2621  0.4302  0.6880  2 Ga 2.00-2.01
O  0.2638  0.4266  0.1873  2 Ga 2.01
O  0.2637  0.4265  0.9376  2 Ga 2.01
O  0.4721  0.7823  0.1355  2 Ga 2.01-2.02
O  0.4725  0.7821  0.8858  2 Ga 2.01
O  0.4723  0.7820  0.9894  2 Ga 2.01
O  0.4719  0.7828  0.2393  2 Ga 2.01-2.02
O  0.4725  0.7829  0.7394  2 Ga 2.01-2.02
O  0.4748  0.7775  0.6344  2 Ga 2.01-2.02
O  0.4862  0.7688  0.3839  2 Ga 1.99-2.00
O  0.4894  0.7599  0.4917  2 Ti 1.96-2.03
O  0.5106  0.2599  0.5083  2 Ti 1.96-2.03
O  0.5138  0.2688  0.6161  2 Ga 1.99-2.00
O  0.5252  0.2775  0.3656  2 Ga 2.01-2.02
O  0.5277  0.2820  0.0106  2 Ga 2.01
O  0.5275  0.2821  0.1142  2 Ga 2.01
O  0.5279  0.2823  0.8645  2 Ga 2.01-2.02
O  0.5275  0.2829  0.2606  2 Ga 2.01-2.02
O  0.5281  0.2828  0.7607  2 Ga 2.01-2.02
O  0.7363  0.9265  0.0624  2 Ga 2.01
O  0.7362  0.9266  0.8127  2 Ga 2.01
O  0.7379  0.9302  0.3120  2 Ga 2.00-2.01
O  0.7405  0.9459  0.5614  1 Ti 1.95, 1 Ga 2.04
O  0.7550  0.0739  0.4387  1 Ti 1.98, 1 Ga 2.05
O  0.7630  0.0827  0.6879  2 Ga 2.01
O  0.7637  0.0833  0.9376  2 Ga 2.01
O  0.7635  0.0839  0.1874  2 Ga 2.01
O  0.9712  0.7273  0.7395  2 Ga 2.01
O  0.9721  0.7280  0.1355  2 Ga 2.01-2.02
O  0.9716  0.7275  0.2392  2 Ga 2.01-2.02
O  0.9723  0.7277  0.9894  2 Ga 2.01
O  0.9730  0.7258  0.3841  2 Ga 2.00
O  0.9725  0.7280  0.8857  2 Ga 2.01
O  0.9770  0.7330  0.6350  2 Ga 2.00-2.01
O  0.9786  0.7294  0.4912  2 Ti 1.97-2.03


No. 4
A plane-wave DFT calculation with PBE was carried out for CaBiAu4 after structural relaxation.

DFT formation energy   -2.50 eV per formula unit
Calculated density   13.06 g/cm³

abc: 5.7136 5.7136 5.7136
angles: 60.00 60.00 60.00
With the nearest neighbours (Å) after each atom.
Atoms (fractional coordinates):
Ca  0.0000  0.0000  0.0000  12 Au 3.35, 4 Bi 3.50
Bi  0.2500  0.2500  0.2500  12 Au 3.35, 4 Ca 3.50
Au  0.1241  0.6253  0.6253  6 Au 2.85-2.86
Au  0.6253  0.1241  0.6253  6 Au 2.85-2.86
Au  0.6253  0.6253  0.1241  6 Au 2.85-2.86
Au  0.6253  0.6253  0.6253  6 Au 2.85-2.86


No. 5
A plane-wave DFT calculation with PBE was carried out for USnPt after structural relaxation.

DFT formation energy   -1.48 eV per formula unit
Calculated density   13.70 g/cm³

abc: 7.4619 7.4619 4.1626
angles: 90.00 90.00 120.00
With the nearest neighbours (Å) after each atom.
Atoms (fractional coordinates):
U  0.0000  0.4121  0.0000  5 Pt 3.07, 6 Sn 3.24-3.40
U  0.4121  0.0000  0.0000  5 Pt 3.07, 6 Sn 3.24-3.40
U  0.5879  0.5879  0.0000  5 Pt 3.07, 6 Sn 3.24-3.40
Sn  0.0000  0.7456  0.5000  4 Pt 2.82-2.83
Sn  0.2544  0.2544  0.5000  4 Pt 2.82-2.83
Sn  0.7456  0.0000  0.5000  4 Pt 2.82-2.83
Pt  0.0000  0.0000  0.0000  6 Sn 2.82, 3 U 3.07
Pt  0.3333  0.6667  0.5000  3 Sn 2.83, 6 U 3.07
Pt  0.6667  0.3333  0.5000  3 Sn 2.83, 6 U 3.07


No. 6
A plane-wave DFT calculation with PBE was carried out for Mg6BSb after structural relaxation.

DFT formation energy   1.10 eV per formula unit
Calculated density   2.78 g/cm³
Excess energy over the best structure of this formula in the dataset   0 meV per atom

abc: 3.8877 6.5699 6.5699
angles: 82.37 90.00 90.00
With the nearest neighbours (Å) after each atom.
Atoms (fractional coordinates):
Mg  0.0000  0.0000  0.0000  6 Mg 2.96-3.07, 2 Sb 2.99
Mg  0.0000  0.4680  0.4680  2 B 2.49
Mg  0.0000  0.5558  0.9012  2 B 2.66
Mg  0.0000  0.9012  0.5558  2 B 2.66
Mg  0.5000  0.2500  0.7347  1 B 2.47
Mg  0.5000  0.7347  0.2500  1 B 2.47
B  0.5000  0.6251  0.6251  8 Mg 2.47-2.66
Sb  0.5000  0.2294  0.2294  8 Mg 2.99-3.34


No. 7
A plane-wave DFT calculation with PBE was carried out for K2LiAuCl6 after structural relaxation.

DFT formation energy   -15.32 eV per formula unit
Calculated density   3.17 g/cm³

abc: 7.1554 7.1554 7.1554
angles: 60.00 60.00 60.00
With the nearest neighbours (Å) after each atom.
Atoms (fractional coordinates):
K  0.2500  0.2500  0.2500  12 Cl 3.58
K  0.7500  0.7500  0.7500  12 Cl 3.58
Li  0.0000  0.0000  0.0000  6 Cl 2.54
Au  0.5000  0.5000  0.5000  6 Cl 2.52
Cl  0.2513  0.2513  0.7487  1 Au 2.52, 1 Li 2.54
Cl  0.2513  0.7487  0.2513  1 Au 2.52, 1 Li 2.54
Cl  0.2513  0.7487  0.7487  1 Au 2.52, 1 Li 2.54
Cl  0.7487  0.2513  0.2513  1 Au 2.52, 1 Li 2.54
Cl  0.7487  0.2513  0.7487  1 Au 2.52, 1 Li 2.54
Cl  0.7487  0.7487  0.2513  1 Au 2.52, 1 Li 2.54


No. 8
A plane-wave DFT calculation with PBE was carried out for KCaMg14 after structural relaxation.

DFT formation energy   1.48 eV per formula unit
Calculated density   1.69 g/cm³
Excess energy over the best structure of this formula in the dataset   0 meV per atom

abc: 6.7162 6.7162 10.5486
angles: 90.00 90.00 120.00
With the nearest neighbours (Å) after each atom.
Atoms (fractional coordinates):
K  0.0000  0.0000  0.0000  12 Mg 3.35-3.36
Ca  0.0000  0.0000  0.5000  12 Mg 3.29-3.36
Mg  0.0038  0.5019  0.0000  10 Mg 3.28-3.40, 2 K 3.36
Mg  0.0053  0.5027  0.5000  10 Mg 3.21-3.41, 2 Ca 3.36
Mg  0.1732  0.3463  0.2537  10 Mg 3.21-3.49, 1 Ca 3.29, 1 K 3.35
Mg  0.1732  0.3463  0.7463  10 Mg 3.21-3.49, 1 Ca 3.29, 1 K 3.35
Mg  0.1732  0.8268  0.2537  10 Mg 3.21-3.49, 1 Ca 3.29, 1 K 3.35
Mg  0.1732  0.8268  0.7463  10 Mg 3.21-3.49, 1 Ca 3.29, 1 K 3.35
Mg  0.4973  0.5027  0.5000  10 Mg 3.21-3.41, 2 Ca 3.36
Mg  0.4973  0.9947  0.5000  10 Mg 3.21-3.41, 2 Ca 3.36
Mg  0.4981  0.5019  0.0000  10 Mg 3.28-3.40, 2 K 3.36
Mg  0.4981  0.9962  0.0000  10 Mg 3.28-3.40, 2 K 3.36
Mg  0.6537  0.8268  0.2537  10 Mg 3.21-3.49, 1 Ca 3.29, 1 K 3.35
Mg  0.6537  0.8268  0.7463  10 Mg 3.21-3.49, 1 Ca 3.29, 1 K 3.35
Mg  0.6667  0.3333  0.2499  12 Mg 3.29-3.36
Mg  0.6667  0.3333  0.7501  12 Mg 3.29-3.36


No. 9
A plane-wave DFT calculation with PBE was carried out for CuReO4 after structural relaxation.

DFT formation energy   -10.48 eV per formula unit
Calculated density   5.53 g/cm³

abc: 7.0261 8.6143 10.1482
angles: 97.29 106.51 101.68
With the nearest neighbours (Å) after each atom.
Atoms (fractional coordinates):
Cu  0.0340  0.1118  0.2675  4 O 1.96-2.15
Cu  0.2500  0.6951  0.9116  4 O 1.97-2.15
Cu  0.4583  0.2960  0.5189  5 O 1.98-2.18
Cu  0.5417  0.7040  0.4811  5 O 1.98-2.18
Cu  0.7500  0.3049  0.0884  4 O 1.97-2.15
Cu  0.9660  0.8882  0.7325  4 O 1.96-2.15
Re  0.0011  0.7228  0.3924  4 O 1.75-1.78
Re  0.3000  0.4123  0.1544  4 O 1.76-1.80
Re  0.4961  0.9697  0.7530  4 O 1.74-1.80
Re  0.5039  0.0303  0.2470  4 O 1.74-1.80
Re  0.7000  0.5877  0.8456  4 O 1.76-1.80
Re  0.9989  0.2772  0.6076  4 O 1.75-1.78
O  0.0029  0.1021  0.6825  1 Re 1.77, 1 Cu 1.96
O  0.0590  0.2780  0.1371  1 Re 1.80
O  0.0952  0.4515  0.7393  1 Re 1.75
O  0.1452  0.2839  0.4903  1 Re 1.78
O  0.2496  0.5632  0.0572  1 Re 1.76
O  0.2563  0.7297  0.4888  1 Re 1.77
O  0.2628  0.8615  0.7732  1 Re 1.79
O  0.3443  0.9186  0.0832  1 Re 1.74
O  0.3606  0.1539  0.3145  1 Re 1.80
O  0.4320  0.5073  0.3319  1 Re 1.77, 1 Cu 1.98
O  0.4379  0.1058  0.6414  1 Re 1.76
O  0.4556  0.3089  0.0870  1 Re 1.77
O  0.5444  0.6911  0.9130  1 Re 1.77
O  0.5621  0.8942  0.3586  1 Re 1.76
O  0.5680  0.4927  0.6681  1 Re 1.77, 1 Cu 1.98
O  0.6394  0.8461  0.6855  1 Re 1.80
O  0.6557  0.0814  0.9168  1 Re 1.74
O  0.7372  0.1385  0.2268  1 Re 1.79
O  0.7437  0.2703  0.5112  1 Re 1.77
O  0.7504  0.4368  0.9428  1 Re 1.76
O  0.8548  0.7161  0.5097  1 Re 1.78
O  0.9048  0.5485  0.2607  1 Re 1.75
O  0.9410  0.7220  0.8629  1 Re 1.80
O  0.9971  0.8979  0.3175  1 Re 1.77, 1 Cu 1.96


No. 10
A plane-wave DFT calculation with PBE was carried out for Ba2TbMgSbO6 after structural relaxation.

DFT formation energy   -30.77 eV per formula unit
Calculated density   5.05 g/cm³
Excess energy over the best structure of this formula in the dataset   0 meV per atom

abc: 6.2554 6.2554 7.4852
angles: 114.74 114.74 60.00
With the nearest neighbours (Å) after each atom.
Atoms (fractional coordinates):
Ba  0.0000  0.0000  0.0000  3 O 2.58-2.59
Ba  0.5486  0.5486  0.6454  9 O 2.87-3.16
Tb  0.8231  0.8231  0.4703  6 O 2.28-2.29
Mg  0.2312  0.2312  0.6937  3 O 1.91
Sb  0.3776  0.3776  0.1341  3 O 1.95
O  0.0582  0.0582  0.7032  1 Mg 1.91
O  0.0582  0.5867  0.7036  1 Mg 1.91
O  0.1184  0.5825  0.2862  1 Sb 1.95
O  0.5825  0.1184  0.2862  1 Sb 1.95
O  0.5833  0.5833  0.2886  1 Sb 1.95
O  0.5867  0.0582  0.7036  1 Mg 1.91


No. 11
A plane-wave DFT calculation with PBE was carried out for Li2CuCO4 after structural relaxation.

DFT formation energy   -14.54 eV per formula unit
Calculated density   2.76 g/cm³

abc: 6.9013 5.0521 10.7130
angles: 90.00 98.79 90.00
With the nearest neighbours (Å) after each atom.
Atoms (fractional coordinates):
Li  0.1165  0.1610  0.2912  4 O 1.93-2.01
Li  0.1165  0.3390  0.7912  4 O 1.93-2.01
Li  0.2238  0.1759  0.5677  3 O 1.90-1.97
Li  0.2238  0.3241  0.0677  3 O 1.90-1.97
Li  0.7762  0.6759  0.9323  3 O 1.90-1.97
Li  0.7762  0.8241  0.4323  3 O 1.90-1.97
Li  0.8835  0.6610  0.2088  4 O 1.93-2.01
Li  0.8835  0.8390  0.7088  4 O 1.93-2.01
Cu  0.4625  0.6623  0.6783  3 O 1.82-1.97
Cu  0.4625  0.8377  0.1783  3 O 1.82-1.97
Cu  0.5375  0.1623  0.8217  3 O 1.82-1.97
Cu  0.5375  0.3377  0.3217  3 O 1.82-1.97
C  0.1841  0.6739  0.4391  3 O 1.28-1.31
C  0.1841  0.8261  0.9391  3 O 1.28-1.31
C  0.8159  0.1739  0.0609  3 O 1.28-1.31
C  0.8159  0.3261  0.5609  3 O 1.28-1.31
O  0.0596  0.6921  0.8595  1 C 1.30
O  0.0596  0.8079  0.3595  1 C 1.30
O  0.2050  0.0763  0.9274  1 C 1.28
O  0.2050  0.4237  0.4274  1 C 1.28
O  0.2859  0.6944  0.0318  1 C 1.31
O  0.2859  0.8056  0.5318  1 C 1.31
O  0.3535  0.1550  0.2158  2 Cu 1.82-1.84, 2 Li 1.90-1.93
O  0.3535  0.3450  0.7158  2 Cu 1.82-1.84, 2 Li 1.90-1.93
O  0.6465  0.6550  0.2842  2 Cu 1.82-1.84, 2 Li 1.90-1.93
O  0.6465  0.8450  0.7842  2 Cu 1.82-1.84, 2 Li 1.90-1.93
O  0.7141  0.1944  0.4682  1 C 1.31
O  0.7141  0.3056  0.9682  1 C 1.31
O  0.7950  0.5763  0.5726  1 C 1.28
O  0.7950  0.9237  0.0726  1 C 1.28
O  0.9404  0.1921  0.6405  1 C 1.30
O  0.9404  0.3079  0.1405  1 C 1.30


No. 12
A plane-wave DFT calculation with PBE was carried out for BaC2S2N2O2 after structural relaxation.

DFT formation energy   -4.10 eV per formula unit
Calculated density   2.50 g/cm³

abc: 7.1012 7.1012 12.2313
angles: 96.08 96.08 38.19
With the nearest neighbours (Å) after each atom.
Atoms (fractional coordinates):
Ba  0.1250  0.1250  0.2637  4 N 2.86-2.91, 2 O 3.00-3.04
Ba  0.8750  0.8750  0.7363  4 N 2.86-2.91, 2 O 3.00-3.04
C  0.3443  0.3443  0.4972  1 N 1.19
C  0.4377  0.4377  0.1299  1 N 1.20
C  0.5623  0.5623  0.8701  1 N 1.20
C  0.6557  0.6557  0.5028  1 N 1.19
S  0.3246  0.3246  0.0688  1 C 1.61
S  0.3565  0.3565  0.3669  1 C 1.62
S  0.6435  0.6435  0.6331  1 C 1.62
S  0.6754  0.6754  0.9312  1 C 1.61
N  0.3401  0.3401  0.5941  1 C 1.19
N  0.4778  0.4778  0.8267  1 C 1.20
N  0.5222  0.5222  0.1733  1 C 1.20
N  0.6599  0.6599  0.4059  1 C 1.19
O  0.0049  0.0049  0.5515  1 O 1.25
O  0.0447  0.0447  0.0214  1 O 1.25
O  0.9553  0.9553  0.9786  1 O 1.25
O  0.9951  0.9951  0.4485  1 O 1.25


- What is the calculated density in the tenth record?
  5.05 g/cm³